Compound: LaF3
Source: the Materials Project
Functional: meta-GGA r2SCAN
Structure: relaxed

Summary:
E_tot ... -342.914 eV/cell

a = 7.1646 Å, b = 7.1646 Å, c = 7.3313 Å
α = 90.00°, β = 90.00°, γ = 120.00°
Element x y z (fractional)
La (0.3266, 0.0000, 0.7521)
La (0.3266, 0.3266, 0.2521)
La (0.0000, 0.6734, 0.2521)
La (0.0000, 0.3266, 0.7522)
La (0.6734, 0.6734, 0.7522)
La (0.6734, 0.0000, 0.2522)
F (0.6667, 0.3333, 0.2057)
F (0.3333, 0.6667, 0.7056)
F (0.6667, 0.3333, 0.7056)
F (0.3333, 0.6667, 0.2057)
F (0.0000, 0.0000, 0.8241)
F (0.0000, 0.0000, 0.3241)
F (0.2799, 0.0000, 0.0834)
F (0.2799, 0.2799, 0.5834)
F (0.0000, 0.7201, 0.5834)
F (0.0000, 0.2799, 0.0834)
F (0.7201, 0.7201, 0.0834)
F (0.7201, 0.0000, 0.5834)
F (0.3757, 0.0000, 0.4208)
F (0.3757, 0.3757, 0.9208)
F (0.0000, 0.6243, 0.9208)
F (0.0000, 0.3757, 0.4208)
F (0.6243, 0.6243, 0.4208)
F (0.6243, 0.0000, 0.9208)